MgGaAg2 | r2SCAN | relaxed

POSCAR file:
```
MgGaAg2
1.0
0.571 -2.539 3.771
-2.046 -4.085 0.343
2.499 -3.836 -0.178
Ag Ga Mg
2 1 1
Cartesian
0.000 0.000 0.000
0.512 -5.230 1.968
0.256 -2.615 0.984
0.768 -7.846 2.952
```

uncorrected energy	-58.80	eV/cell

***

Nd2GaAg | r2SCAN | relaxed

POSCAR file:
```
Nd2GaAg
1.0
0.897 -5.049 1.189
-2.681 -3.801 -2.465
2.443 -3.125 -3.461
Nd Ag Ga
2 1 1
Cartesian
0.494 -8.981 -3.552
0.165 -2.994 -1.184
0.330 -5.987 -2.368
0.000 0.000 0.000
```

uncorrected energy	-93.47	eV/cell

***

no.,size of the total moment (μB per formula unit),formation energy (eV/atom),calculated volume (Å³ per cell)
1,0.000,-0.118,68.0
2,0.309,-0.458,103.1